# PrMoO4F

PrMoO4F after structural relaxation (PBE+U, the Materials Project database).

Output
Energy of formation: -2961 meV per atom
Crystal system: monoclinic

a b c (Å): 7.082 6.651 10.178
angles (deg): 90.00 115.93 90.00
Space group P2_1/c (No. 14)
Asymmetric unit:
Pr (0.197, 0.129, 0.422) [4 per cell]
Mo (0.334, 0.636, 0.665) [4 per cell]
O (0.166, 0.643, 0.081) [4 per cell]
O (0.214, 0.097, 0.089) [4 per cell]
O (0.439, 0.608, 0.863) [4 per cell]
O (0.447, 0.160, 0.873) [4 per cell]
F (0.013, 0.617, 0.739) [4 per cell]


# Li3Fe8B8O24

Li3Fe8B8O24 after structural relaxation (PBE+U, the Materials Project database).

Output
Energy of formation: -2251 meV per atom
Crystal system: triclinic

a b c (Å): 5.287 9.071 11.360
angles (deg): 66.67 77.14 89.81
Space group P1 (No. 1)
Asymmetric unit:
Li (0.000, 0.000, 0.000) [1 per cell]
Li (0.075, 0.388, 0.252) [1 per cell]
Li (0.740, 0.763, 0.513) [1 per cell]
Fe (0.024, 0.680, 0.976) [1 per cell]
Fe (0.081, 0.059, 0.228) [1 per cell]
Fe (0.269, 0.598, 0.474) [1 per cell]
Fe (0.326, 0.979, 0.721) [1 per cell]
Fe (0.522, 0.183, 0.977) [1 per cell]
Fe (0.577, 0.558, 0.223) [1 per cell]
Fe (0.773, 0.118, 0.480) [1 per cell]
Fe (0.827, 0.473, 0.731) [1 per cell]
B (0.023, 0.347, 0.981) [1 per cell]
B (0.081, 0.729, 0.220) [1 per cell]
B (0.270, 0.927, 0.478) [1 per cell]
B (0.321, 0.312, 0.723) [1 per cell]
B (0.536, 0.851, 0.973) [1 per cell]
B (0.566, 0.224, 0.230) [1 per cell]
B (0.786, 0.450, 0.471) [1 per cell]
B (0.825, 0.814, 0.726) [1 per cell]
O (0.040, 0.958, 0.431) [1 per cell]
O (0.043, 0.807, 0.779) [1 per cell]
O (0.118, 0.194, 0.027) [1 per cell]
O (0.127, 0.474, 0.996) [1 per cell]
O (0.201, 0.455, 0.673) [1 per cell]
O (0.215, 0.170, 0.733) [1 per cell]
O (0.278, 0.680, 0.283) [1 per cell]
O (0.294, 0.859, 0.935) [1 per cell]
O (0.370, 0.028, 0.525) [1 per cell]
O (0.394, 0.793, 0.480) [1 per cell]
O (0.441, 0.353, 0.233) [1 per cell]
O (0.454, 0.114, 0.193) [1 per cell]
O (0.543, 0.319, 0.766) [1 per cell]
O (0.554, 0.483, 0.433) [1 per cell]
O (0.647, 0.704, 0.010) [1 per cell]
O (0.654, 0.982, 0.974) [1 per cell]
O (0.699, 0.954, 0.691) [1 per cell]
O (0.748, 0.687, 0.703) [1 per cell]
O (0.810, 0.198, 0.264) [1 per cell]
O (0.819, 0.363, 0.920) [1 per cell]
O (0.879, 0.555, 0.520) [1 per cell]
O (0.922, 0.330, 0.454) [1 per cell]
O (0.981, 0.622, 0.175) [1 per cell]
O (0.985, 0.875, 0.198) [1 per cell]


Q: Among the records above, which one has the lowest energy of formation?
A: PrMoO4F


Q: What is the energy of formation in the first record?
A: -2961 meV per atom


Q: Which formula does entry 2 have?
A: Li3Fe8B8O24